Rb2CoF6: optimized geometry, PBE+U.

```
Rb2CoF6
1.0
2.943 -1.434 -5.231
-0.942 -5.485 -2.666
-3.132 -0.355 -5.305
F Rb Co
6 2 1
direct
0.786 0.214 0.214
0.214 0.786 0.214
0.214 0.786 0.786
0.214 0.214 0.786
0.786 0.214 0.786
0.786 0.786 0.214
0.750 0.750 0.750
0.250 0.250 0.250
0.000 0.000 0.000
```

Values from the calculation:
- formation energy (kcal/mol of atoms) = -57.282
- calculated total energy (eV/cell) = -38.50